Run i
# PBE MoWSe2S2, relaxed
# M_tot	0.00	μB/atom
data_MoWSe2S2
_chemical_formula_sum 'Mo2 W2 Se4 S4'
_symmetry_space_group_name_H-M 'P 3 m 1'
_symmetry_Int_Tables_number 156
_symmetry_space_group_name_Hall 'P 3 -2"'
_cell_length_a 3.2540
_cell_length_b 3.2540
_cell_length_c 36.8847
_cell_angle_alpha 90.00
_cell_angle_beta 90.00
_cell_angle_gamma 120.00
loop_
_atom_site_label
_atom_site_fract_x
_atom_site_fract_y
_atom_site_fract_z
Mo1 0.0000 0.0000 0.0000
Mo2 0.3333 0.6667 0.8121
W1 0.0000 0.0000 0.6243
W2 0.3333 0.6667 0.1879
Se1 0.0000 0.0000 0.1416
Se2 0.0000 0.0000 0.2342
Se3 0.3333 0.6667 0.0460
Se4 0.3333 0.6667 0.9540
S1 0.0000 0.0000 0.7702
S2 0.0000 0.0000 0.8540
S3 0.3333 0.6667 0.5822
S4 0.3333 0.6667 0.6663

=====

Run ii
# PBE MoWSe2S2, relaxed
# M_tot	0.00	μB/atom
data_MoWSe2S2
_chemical_formula_sum 'Mo2 W2 Se4 S4'
_symmetry_space_group_name_H-M 'P 3 m 1'
_symmetry_Int_Tables_number 156
_symmetry_space_group_name_Hall 'P 3 -2"'
_cell_length_a 3.2514
_cell_length_b 3.2514
_cell_length_c 36.8922
_cell_angle_alpha 90.00
_cell_angle_beta 90.00
_cell_angle_gamma 120.00
loop_
_atom_site_label
_atom_site_fract_x
_atom_site_fract_y
_atom_site_fract_z
Mo1 0.0000 0.0000 0.0000
Mo2 0.3333 0.6667 0.1879
W1 0.0000 0.0000 0.3758
W2 0.3333 0.6667 0.5636
Se1 0.0000 0.0000 0.1418
Se2 0.0000 0.0000 0.2340
Se3 0.3333 0.6667 0.0461
Se4 0.3333 0.6667 0.9539
S1 0.0000 0.0000 0.5216
S2 0.0000 0.0000 0.6057
S3 0.3333 0.6667 0.3337
S4 0.3333 0.6667 0.4178

=====

Run iii
Compound: MoWSe2S2
Source: Materials Project
Functional: PBE
Structure: relaxed

Cell and atoms, written as CIF:
```
data_MoWSe2S2
_chemical_formula_sum 'Mo2 W2 Se4 S4'
_symmetry_space_group_name_H-M 'P 3 m 1'
_symmetry_Int_Tables_number 156
_symmetry_space_group_name_Hall 'P 3 -2"'
_cell_length_a 3.2580
_cell_length_b 3.2580
_cell_length_c 36.7094
_cell_angle_alpha 90.00
_cell_angle_beta 90.00
_cell_angle_gamma 120.00
loop_
_atom_site_label
_atom_site_fract_x
_atom_site_fract_y
_atom_site_fract_z
Mo1 0.0000 0.0000 0.0000
Mo2 0.0000 0.0000 0.3758
W1 0.3333 0.6667 0.1879
W2 0.3333 0.6667 0.5637
Se1 0.0000 0.0000 0.1414
Se2 0.0000 0.0000 0.2344
Se3 0.0000 0.0000 0.5172
Se4 0.0000 0.0000 0.6102
S1 0.3333 0.6667 0.0420
S2 0.3333 0.6667 0.3338
S3 0.3333 0.6667 0.4178
S4 0.3333 0.6667 0.9580
```

=====

Top of the stability list: run ii, leading by 17 meV per atom.

=====

Run i
# PBE MoWSe2S2, relaxed
# M_tot	0.00	μB/atom
data_MoWSe2S2
_chemical_formula_sum 'Mo2 W2 Se4 S4'
_symmetry_space_group_name_H-M 'P -3 m 1'
_symmetry_Int_Tables_number 164
_symmetry_space_group_name_Hall '-P 3 2"'
_cell_length_a 3.2572
_cell_length_b 3.2572
_cell_length_c 36.8716
_cell_angle_alpha 90.00
_cell_angle_beta 90.00
_cell_angle_gamma 120.00
loop_
_atom_site_label
_atom_site_fract_x
_atom_site_fract_y
_atom_site_fract_z
Mo1 0.3333 0.6667 0.0939
W1 0.3333 0.6667 0.7182
Se1 0.3333 0.6667 0.2355
Se2 0.3333 0.6667 0.3281
S1 0.3333 0.6667 0.8642
S2 0.3333 0.6667 0.9479

=====

Run ii
# PBE MoWSe2S2, relaxed
# M_tot	0.00	μB/atom
data_MoWSe2S2
_chemical_formula_sum 'Mo2 W2 Se4 S4'
_symmetry_space_group_name_H-M 'P 3 m 1'
_symmetry_Int_Tables_number 156
_symmetry_space_group_name_Hall 'P 3 -2"'
_cell_length_a 3.2558
_cell_length_b 3.2558
_cell_length_c 36.3569
_cell_angle_alpha 90.00
_cell_angle_beta 90.00
_cell_angle_gamma 120.00
loop_
_atom_site_label
_atom_site_fract_x
_atom_site_fract_y
_atom_site_fract_z
Mo1 0.0000 0.0000 0.0000
Mo2 0.0000 0.0000 0.3758
W1 0.3333 0.6667 0.1879
W2 0.3333 0.6667 0.5636
Se1 0.3333 0.6667 0.0468
Se2 0.3333 0.6667 0.3290
Se3 0.3333 0.6667 0.4225
Se4 0.3333 0.6667 0.9532
S1 0.0000 0.0000 0.1452
S2 0.0000 0.0000 0.2306
S3 0.0000 0.0000 0.5209
S4 0.0000 0.0000 0.6063

=====

Run iii
# PBE MoWSe2S2, relaxed
# M_tot	0.00	μB/atom
data_MoWSe2S2
_chemical_formula_sum 'Mo2 W2 Se4 S4'
_symmetry_space_group_name_H-M 'P 3 m 1'
_symmetry_Int_Tables_number 156
_symmetry_space_group_name_Hall 'P 3 -2"'
_cell_length_a 3.2534
_cell_length_b 3.2534
_cell_length_c 36.8823
_cell_angle_alpha 90.00
_cell_angle_beta 90.00
_cell_angle_gamma 120.00
loop_
_atom_site_label
_atom_site_fract_x
_atom_site_fract_y
_atom_site_fract_z
Mo1 0.0000 0.0000 0.0000
Mo2 0.3333 0.6667 0.5636
W1 0.0000 0.0000 0.3757
W2 0.3333 0.6667 0.1879
Se1 0.0000 0.0000 0.1415
Se2 0.0000 0.0000 0.2342
Se3 0.0000 0.0000 0.5176
Se4 0.0000 0.0000 0.6097
S1 0.3333 0.6667 0.0419
S2 0.3333 0.6667 0.3337
S3 0.3333 0.6667 0.4177
S4 0.3333 0.6667 0.9581

=====

Top of the stability list: run ii, leading by 16 meV per atom.

=====

Run i
# PBE MoWSe2S2, relaxed
# M_tot	0.00	μB/atom
data_MoWSe2S2
_chemical_formula_sum 'Mo2 W2 Se4 S4'
_symmetry_space_group_name_H-M 'P -3 m 1'
_symmetry_Int_Tables_number 164
_symmetry_space_group_name_Hall '-P 3 2"'
_cell_length_a 3.2541
_cell_length_b 3.2541
_cell_length_c 36.9560
_cell_angle_alpha 90.00
_cell_angle_beta 90.00
_cell_angle_gamma 120.00
loop_
_atom_site_label
_atom_site_fract_x
_atom_site_fract_y
_atom_site_fract_z
Mo1 0.3333 0.6667 0.2182
W1 0.3333 0.6667 0.5940
Se1 0.3333 0.6667 0.3598
Se2 0.3333 0.6667 0.4523
S1 0.3333 0.6667 0.7400
S2 0.3333 0.6667 0.8236

=====

Run ii
# PBE MoWSe2S2, relaxed
# M_tot	0.00	μB/atom
data_MoWSe2S2
_chemical_formula_sum 'Mo2 W2 Se4 S4'
_symmetry_space_group_name_H-M 'P -3 m 1'
_symmetry_Int_Tables_number 164
_symmetry_space_group_name_Hall '-P 3 2"'
_cell_length_a 3.2556
_cell_length_b 3.2556
_cell_length_c 36.3313
_cell_angle_alpha 90.00
_cell_angle_beta 90.00
_cell_angle_gamma 120.00
loop_
_atom_site_label
_atom_site_fract_x
_atom_site_fract_y
_atom_site_fract_z
Mo1 0.3333 0.6667 0.2182
W1 0.3333 0.6667 0.5939
Se1 0.3333 0.6667 0.7351
Se2 0.3333 0.6667 0.8286
S1 0.3333 0.6667 0.3634
S2 0.3333 0.6667 0.4487

=====

Run iii
# PBE MoWSe2S2, relaxed
# M_tot	0.00	μB/atom
data_MoWSe2S2
_chemical_formula_sum 'Mo2 W2 Se4 S4'
_symmetry_space_group_name_H-M 'P 3 m 1'
_symmetry_Int_Tables_number 156
_symmetry_space_group_name_Hall 'P 3 -2"'
_cell_length_a 3.2534
_cell_length_b 3.2534
_cell_length_c 36.8678
_cell_angle_alpha 90.00
_cell_angle_beta 90.00
_cell_angle_gamma 120.00
loop_
_atom_site_label
_atom_site_fract_x
_atom_site_fract_y
_atom_site_fract_z
Mo1 0.0000 0.0000 0.0000
Mo2 0.3333 0.6667 0.1879
W1 0.0000 0.0000 0.3757
W2 0.3333 0.6667 0.5637
Se1 0.0000 0.0000 0.5173
Se2 0.0000 0.0000 0.6100
Se3 0.3333 0.6667 0.0461
Se4 0.3333 0.6667 0.9540
S1 0.0000 0.0000 0.1460
S2 0.0000 0.0000 0.2298
S3 0.3333 0.6667 0.3337
S4 0.3333 0.6667 0.4178

=====

Top of the stability list: run ii, leading by 16 meV per atom.